The following is a DFT calculation (PBE) of a relaxed Na10Ca4Ta4Si7S5O48 crystal.

Values from the calculation:
energy: -6.934 eV per atom
M_tot: 0.00 μB per formula unit

Cell: 18.4752 9.3308 22.5744 Å, 89.83 90.48 120.30°
With the nearest neighbours (Å) after each atom.
Element x y z (fractional)
1 Ca 0.8400 0.3388 0.6834  5 O 2.08-2.33
2 O 0.8522 0.5325 0.5367  1 S 1.52
3 O 0.8114 0.0890 0.7373  1 S 1.46
4 Ca 0.3370 0.3483 0.6823  5 O 2.16-2.30
5 O 0.3960 0.0153 0.8002  1 S 1.44
6 O 0.6057 0.1804 0.4109  1 Si 1.61
7 O 0.4839 0.8340 0.0883  1 Si 1.72
8 Ca 0.6654 0.6640 0.0177  5 O 2.14-2.30
9 O 0.5711 0.4688 0.5862  1 Si 1.59
10 O 0.2696 0.7354 0.2491  1 S 1.53
11 Na 0.6633 0.0188 0.4029  3 O 2.25-2.43
12 O 0.2633 0.1412 0.9346  1 Si 1.70
13 O 0.6546 0.8141 0.2554  1 Si 1.66
14 Si 0.1468 0.9859 0.2548  4 O 1.58-1.73
15 Si 0.8387 0.0382 0.0874  4 O 1.59-1.75
16 Na 0.3385 0.3906 0.8193  3 O 2.30-2.51
17 O 0.9853 0.8265 0.0879  1 Si 1.70
18 O 0.9257 0.5282 0.7479  1 Si 1.60
19 O 0.2311 0.3059 0.0311  1 S 1.52
20 O 0.0993 0.1433 0.0828  1 S 1.54
21 O 0.0982 0.0507 0.5854  1 S 1.54
22 Na 0.6493 0.6355 0.6621  3 O 2.27-2.54
23 O 0.0820 0.9752 0.1971  1 Si 1.73, 1 Ta 1.92
24 Na 0.5052 0.3009 0.4115  5 O 2.34-2.61
25 O 0.4950 0.7689 0.4034  1 S 1.45
26 Na 0.6652 0.0245 0.7587  5 O 2.49-2.76
27 O 0.5975 0.0073 0.9141  1 Si 1.60
28 O 0.2674 0.8114 0.7500  1 S 1.53
29 O 0.8937 0.8179 0.1932  1 S 1.52
30 O 0.3216 0.1038 0.7370  1 S 1.48
31 Ta 0.5054 0.9974 0.1497  3 O 1.88-1.97
32 O 0.1869 0.8743 0.8549  1 Si 1.76
33 O 0.0160 0.8470 0.6963  1 Si 1.76, 1 Ta 1.97
34 Si 0.6751 0.9778 0.9210  3 O 1.58-1.67
35 O 0.1879 0.5028 0.3542  1 Si 1.80, 1 Ta 1.94
36 Na 0.1638 0.3093 0.9035  3 O 2.23-2.42
37 Si 0.9801 0.3123 0.5871  3 O 1.57-1.71
38 O 0.7653 0.3879 0.4328  1 Si 1.69
39 O 0.2528 0.8650 0.3587  1 Si 1.74
40 O 0.5142 0.1822 0.1976  1 Si 1.76
41 Si 0.3110 0.6587 0.9218  3 O 1.57-1.71
42 O 0.1620 0.8808 0.5743  1 S 1.44
43 O 0.7498 0.6432 0.8633  1 Si 1.75, 1 Ta 1.93
44 Na 0.8291 0.6248 0.7494  4 O 2.31-2.50
45 Si 0.8108 0.9638 0.4214  3 O 1.56-1.73
46 O 0.9346 0.4736 0.4164  1 S 1.54
47 Na 0.8344 0.6952 0.0693  3 O 2.22-2.45
48 Si 0.4786 0.3132 0.5899  4 O 1.58-1.76
49 O 0.1046 0.2190 0.8147  1 Si 1.58
50 Na 0.0001 0.9743 0.9913  3 O 2.34-2.52
51 Ta 0.8386 0.3372 0.9789  5 O 1.96-2.13
52 Ca 0.1663 0.6542 0.5232  5 O 2.15-2.35
53 O 0.5827 0.1987 0.6914  1 Si 1.78, 1 Ta 1.88
54 Na 0.1677 0.3138 0.2577  5 O 2.49-2.77
55 O 0.2583 0.6273 0.9794  1 Si 1.57
56 Ca 0.9975 0.9959 0.3529  6 O 2.16-2.37
57 S 0.8466 0.7130 0.2462  4 O 1.45-1.54
58 Si 0.8139 0.6510 0.9225  4 O 1.57-1.75
59 O 0.9271 0.5412 0.1393  1 Si 1.57
60 O 0.6025 0.7182 0.7549  1 Si 1.72
61 Ca 0.6659 0.6515 0.5227  5 O 2.14-2.33
62 O 0.4884 0.2109 0.9024  1 S 1.44
63 Si 0.0071 0.7093 0.7530  4 O 1.59-1.76
64 Ta 0.8341 0.3232 0.4804  4 O 1.92-2.11
65 O 0.7296 0.1601 0.5320  1 S 1.54
66 Na 0.6406 0.6651 0.1628  3 O 2.27-2.50
67 O 0.3953 0.9665 0.6944  1 S 1.51
68 O 0.3541 0.5409 0.5316  1 S 1.52
69 Si 0.4795 0.6450 0.0856  3 O 1.57-1.72
70 O 0.8196 0.1063 0.1463  1 Si 1.59
71 O 0.1067 0.0000 0.3144  1 Si 1.58
72 O 0.2357 0.3160 0.7462  1 Si 1.61
73 Ta 0.6720 0.6767 0.8160  5 O 1.92-2.13
74 Ca 0.9967 0.9996 0.8514  6 O 2.15-2.38
75 O 0.4340 0.5567 0.1444  1 Si 1.57
76 O 0.8951 0.7754 0.3002  1 S 1.45
77 Ta 0.5066 0.0111 0.6473  4 O 1.88-2.10
78 Na 0.4867 0.0093 0.4981  3 O 2.30-2.50
79 Ta 0.1745 0.6793 0.8116  5 O 1.95-2.07
80 O 0.4335 0.3038 0.6503  1 Si 1.58
81 O 0.1048 0.1804 0.4120  1 Si 1.61
82 O 0.1009 0.4907 0.2526  1 Si 1.70
83 O 0.3960 0.8207 0.1954  1 S 1.52
84 O 0.1336 0.8204 0.9644  1 Si 1.59
85 O 0.6610 0.8677 0.9780  1 Si 1.58
86 O 0.7791 0.6719 0.5750  1 S 1.46
87 Na 0.4921 0.9864 0.9916  3 O 2.31-2.56
88 Na 0.0044 0.3535 0.0866  3 O 2.38-2.51
89 O 0.5953 0.0430 0.5830  1 S 1.54
90 O 0.4130 0.3083 0.5319  1 Si 1.76, 1 Ta 1.92
91 Si 0.6465 0.9838 0.2565  4 O 1.57-1.75
92 O 0.7195 0.3315 0.1424  1 S 1.46
93 O 0.6824 0.8600 0.8615  1 Si 1.79, 1 Ta 1.92
94 O 0.1537 0.4956 0.7570  1 Si 1.67
95 O 0.5996 0.9859 0.3140  1 Si 1.57
96 Na 0.5004 0.7060 0.9088  3 O 2.24-2.46
97 O 0.7201 0.1202 0.6401  1 S 1.45
98 O 0.5831 0.9726 0.1963  1 Si 1.75, 1 Ta 1.88
99 O 0.9082 0.8045 0.9171  1 Si 1.61
100 S 0.6793 0.0463 0.5840  4 O 1.45-1.54
101 Na 0.6657 0.9665 0.0689  2 O 2.23-2.31
102 S 0.3459 0.7119 0.2470  4 O 1.45-1.53
103 O 0.1536 0.8142 0.2563  1 Si 1.67
104 Na 0.6693 0.3194 0.2577  4 O 2.44-2.68
105 Na 0.3474 0.3443 0.3232  3 O 2.32-2.58
106 S 0.5128 0.3814 0.9134  4 O 1.44-1.55
107 O 0.9207 0.5371 0.0232  1 Si 1.73
108 O 0.5976 0.1416 0.0853  1 S 1.54
109 O 0.4173 0.5271 0.0255  1 Si 1.76, 1 Ta 1.93
110 O 0.9171 0.3068 0.5266  1 Si 1.77, 1 Ta 1.92
111 O 0.2646 0.3858 0.4319  1 Si 1.69
112 Si 0.0090 0.3071 0.2528  4 O 1.59-1.76
113 S 0.8484 0.6416 0.5849  4 O 1.46-1.52
114 O 0.4793 0.1309 0.5886  1 Si 1.71
115 Na 0.1446 0.6905 0.1676  2 O 2.23-2.28
116 O 0.8391 0.5633 0.6430  1 S 1.47
117 O 0.6876 0.5017 0.3542  1 Si 1.79, 1 Ta 1.94
118 O 0.6007 0.1881 0.8046  1 Si 1.56
119 O 0.7507 0.8602 0.3599  1 Si 1.73
120 O 0.5654 0.6229 0.3644  1 S 1.54
121 S 0.3484 0.0554 0.0857  4 O 1.46-1.51
122 Ta 0.6712 0.6666 0.3131  6 O 1.94-2.14
123 O 0.0676 0.5071 0.8679  1 S 1.52
124 O 0.9308 0.3000 0.6449  1 Si 1.57
125 O 0.7674 0.1548 0.9250  1 Si 1.67
126 Na 0.1357 0.5964 0.6676  3 O 2.22-2.48
127 Si 0.1486 0.3120 0.7557  4 O 1.58-1.76
128 Si 0.6727 0.3759 0.4180  3 O 1.58-1.69
129 O 0.8939 0.0219 0.8019  1 S 1.45
130 O 0.7696 0.8020 0.7529  1 S 1.55
131 S 0.1810 0.0489 0.5834  4 O 1.44-1.54
132 O 0.3155 0.1592 0.4230  1 Si 1.77, 1 Ta 1.93
133 O 0.0703 0.6486 0.0843  1 Si 1.61
134 O 0.6630 0.8789 0.5764  1 S 1.45
135 S 0.5166 0.6427 0.4159  4 O 1.44-1.54
136 Ta 0.3345 0.3265 0.4808  4 O 1.92-2.11
137 Ca 0.4990 0.9969 0.8532  6 O 2.13-2.38
138 O 0.3928 0.7703 0.3019  1 S 1.45
139 S 0.0162 0.6425 0.4156  4 O 1.44-1.55
140 O 0.0588 0.4464 0.9750  1 S 1.45
141 O 0.1049 0.0319 0.9111  1 Si 1.62
142 O 0.7689 0.7328 0.2498  1 S 1.54
143 O 0.2234 0.3325 0.1385  1 S 1.45
144 Si 0.9814 0.6407 0.0844  4 O 1.57-1.73
145 O 0.6470 0.4876 0.7565  1 Si 1.67
146 O 0.7304 0.2931 0.0359  1 S 1.51
147 O 0.9822 0.1309 0.5881  1 Si 1.71
148 Ca 0.4954 0.9948 0.3538  6 O 2.16-2.38
149 O 0.5149 0.8464 0.6980  1 Si 1.75
150 O 0.7415 0.3406 0.7452  1 Si 1.61
151 O 0.4374 0.5151 0.7463  1 Si 1.61
152 O 0.3136 0.4702 0.9200  1 Si 1.78, 1 Ta 1.91
153 O 0.6600 0.4409 0.0739  1 S 1.45
154 O 0.0192 0.1940 0.1947  1 Si 1.76
155 O 0.5742 0.6851 0.0807  1 Si 1.60
156 O 0.4357 0.4723 0.4181  1 S 1.54
157 O 0.9353 0.3901 0.9172  1 S 1.54
158 S 0.3480 0.9803 0.7464  4 O 1.44-1.53
159 Ta 0.0094 0.0171 0.6484  4 O 1.86-2.08
160 O 0.3148 0.5352 0.2381  1 S 1.46
161 O 0.8190 0.4743 0.9216  1 Si 1.70
162 O 0.2288 0.1629 0.5308  1 S 1.54
163 O 0.5577 0.4440 0.9686  1 S 1.44
164 O 0.8940 0.9660 0.6962  1 S 1.51
165 O 0.1554 0.4377 0.0747  1 S 1.46
166 Na 0.8343 0.3539 0.8287  5 O 2.47-2.72
167 O 0.0814 0.1943 0.6971  1 Si 1.76, 1 Ta 1.86
168 Na 0.8213 0.0271 0.2394  4 O 2.23-2.49
169 S 0.8458 0.9804 0.7473  4 O 1.45-1.55
170 Si 0.5069 0.7082 0.7536  4 O 1.58-1.75
171 Na 0.1646 0.0209 0.4043  3 O 2.25-2.44
172 Si 0.1724 0.3759 0.4182  3 O 1.58-1.69
173 O 0.8159 0.5360 0.2386  1 S 1.46
174 Ca 0.1723 0.6871 0.0206  4 O 2.13-2.29
175 S 0.0182 0.3888 0.9175  4 O 1.45-1.54
176 O 0.5988 0.4861 0.2530  1 Si 1.69
177 O 0.4325 0.3945 0.9155  1 S 1.55
178 O 0.2818 0.6788 0.5719  1 S 1.46
179 O 0.7364 0.1525 0.2521  1 Si 1.62
180 O 0.9965 0.7711 0.4026  1 S 1.45
181 Si 0.1708 0.9670 0.9175  4 O 1.59-1.76
182 O 0.9304 0.8042 0.5835  1 S 1.51
183 O 0.4058 0.8042 0.9193  1 Si 1.59
184 O 0.9066 0.0114 0.4180  1 Si 1.60
185 Ta 0.3359 0.3459 0.9772  4 O 1.91-2.13
186 O 0.0990 0.7108 0.7538  1 Si 1.69
187 O 0.4325 0.8068 0.5820  1 S 1.51
188 O 0.6355 0.4513 0.4630  1 Si 1.58
189 Na 0.9855 0.0074 0.4978  3 O 2.32-2.54
190 S 0.1808 0.3138 0.0826  4 O 1.45-1.54
191 S 0.3497 0.6448 0.5817  4 O 1.45-1.52
192 Si 0.5065 0.3043 0.2534  4 O 1.60-1.76
193 O 0.0662 0.6236 0.3645  1 S 1.55
194 O 0.2256 0.1212 0.6385  1 S 1.45
195 Na 0.1728 0.0195 0.7572  4 O 2.41-2.66
196 O 0.5620 0.6742 0.4712  1 S 1.44
197 O 0.0730 0.4660 0.5841  1 Si 1.59
198 Na 0.0045 0.2992 0.4120  5 O 2.37-2.60
199 O 0.3389 0.1161 0.1435  1 S 1.47
200 O 0.7689 0.6433 0.9824  1 Si 1.57
201 Ta 0.1709 0.6666 0.3137  5 O 1.94-2.11
202 O 0.4300 0.0538 0.0855  1 S 1.51
203 S 0.6797 0.3110 0.0846  4 O 1.45-1.54
204 O 0.3533 0.1698 0.0367  1 S 1.51
205 O 0.5012 0.2118 0.3142  1 Si 1.60
206 O 0.4986 0.7813 0.8147  1 Si 1.58
207 O 0.0064 0.2143 0.3127  1 Si 1.59
208 O 0.5613 0.4962 0.8617  1 S 1.53
209 O 0.9281 0.3271 0.2473  1 Si 1.60
210 Si 0.6483 0.3098 0.7526  3 O 1.56-1.67
211 O 0.3396 0.5615 0.6380  1 S 1.45
212 O 0.9325 0.0476 0.0920  1 Si 1.69
213 Si 0.3114 0.9660 0.4214  3 O 1.56-1.74
214 O 0.8128 0.1556 0.4227  1 Si 1.77, 1 Ta 1.92
215 Ta 0.0076 0.0057 0.1457  5 O 1.92-2.09
216 Ca 0.3391 0.3403 0.1826  5 O 2.08-2.32
217 O 0.4254 0.3236 0.2474  1 Si 1.60
218 O 0.8524 0.1839 0.0330  1 Si 1.75
219 Na 0.0008 0.7013 0.9096  4 O 2.34-2.53
220 O 0.2390 0.1482 0.2464  1 Si 1.62
221 O 0.2789 0.8862 0.0770  1 S 1.46
222 Na 0.5000 0.3580 0.7367  3 O 2.21-2.39
223 O 0.4070 0.0113 0.4196  1 Si 1.60
224 O 0.2552 0.8781 0.4764  1 Si 1.56
225 O 0.7570 0.8762 0.4773  1 Si 1.56
226 O 0.7668 0.8482 0.0785  1 Si 1.60
227 O 0.1362 0.4540 0.4627  1 Si 1.58
228 O 0.0023 0.7945 0.8128  1 Si 1.59
229 Na 0.8473 0.3423 0.3229  3 O 2.33-2.55
230 O 0.2501 0.6440 0.8620  1 Si 1.71
231 Na 0.3245 0.0321 0.2520  4 O 2.33-2.55
232 Ca 0.8353 0.3330 0.1848  5 O 2.10-2.33
233 O 0.0003 0.2201 0.9066  1 S 1.46
234 O 0.0603 0.6715 0.4712  1 S 1.44